A relaxed Ba2NdBiO6 crystal. Source: the Materials Project database, functional PBE-GGA.

extended XYZ file:
```
10
Lattice="5.9924 1.7700 0.5586 1.5970 5.9977 -0.9113 1.7838 3.5440 4.8592" Properties=species:S:1:pos:R:3 pbc="T T T"
Ba 2.3433 2.8279 1.1266
Ba 7.0299 8.4838 3.3799
Nd 4.6866 5.6559 2.2533
Bi 0.0000 0.0000 0.0000
O 5.3658 3.6345 1.3717
O 4.0073 7.6773 3.1348
O 6.2938 5.4781 3.8995
O 3.0794 5.8337 0.6071
O 6.1966 6.7545 0.8977
O 3.1766 4.5573 3.6088
```

Properties
ΔE_f = -2.741 eV/atom
Total DFT energy (no corrections) = -65.47 eV/cell